The following is a DFT calculation (PBE with a Hubbard U) of a relaxed structure of Li3MnVP2O8F2.

The calculation puts the energy at -6.7834 eV/atom. As for the total magnetization: 0.00 μB per formula unit. The formation energy comes out at -4524 kJ/mol of formula units. The calculated density is 3.10 g/cm³.

abc: 5.4362 10.5582 7.4453
angles: 107.47 73.04 83.26
With the nearest neighbours (Å) after each atom.
Sites, in units of the cell vectors:
Li  0.5980  0.8682  0.8452  1 F 1.92, 3 O 2.02-2.12
Li  0.5980  0.3682  0.8452  1 F 1.92, 3 O 2.02-2.12
Li  0.0434  0.2543  0.4866  3 O 1.99-2.09, 2 F 2.05
Li  0.0434  0.7543  0.4866  3 O 1.99-2.09, 2 F 2.05
Li  0.4164  0.1227  0.1393  1 F 1.92, 2 O 1.97-2.06
Li  0.4164  0.6227  0.1393  1 F 1.92, 2 O 1.97-2.06
Mn  0.9913  0.5057  0.5022  4 O 2.11-2.25, 2 F 2.15-2.17
Mn  0.9910  0.0054  0.5022  4 O 2.11-2.25, 2 F 2.15-2.17
V  0.9997  0.0001  0.0009  4 O 1.99-2.08, 2 F 2.05
V  0.9997  0.5000  0.0009  4 O 1.99-2.08, 2 F 2.05
P  0.3544  0.6727  0.7632  4 O 1.53-1.58
P  0.3544  0.1727  0.7632  4 O 1.53-1.58
P  0.6417  0.3281  0.2400  4 O 1.53-1.59
P  0.6417  0.8281  0.2400  4 O 1.53-1.59
O  0.2413  0.8211  0.9232  1 P 1.57
O  0.2413  0.3212  0.9233  1 P 1.57
O  0.2098  0.6432  0.6123  1 P 1.53
O  0.2098  0.1432  0.6123  1 P 1.53
O  0.6484  0.6702  0.6668  1 P 1.54
O  0.6484  0.1702  0.6669  1 P 1.54
O  0.6700  0.4298  0.1197  1 P 1.59
O  0.6700  0.9298  0.1197  1 P 1.59
O  0.3266  0.5693  0.8801  1 P 1.58
O  0.3266  0.0693  0.8801  1 P 1.58
O  0.3466  0.3310  0.3379  1 P 1.55
O  0.3465  0.8310  0.3379  1 P 1.55
O  0.7892  0.3588  0.3889  1 P 1.53
O  0.7892  0.8588  0.3889  1 P 1.53
O  0.7556  0.1791  0.0807  1 P 1.58
O  0.7556  0.6792  0.0808  1 P 1.58
F  0.0897  0.5783  0.2558  2 Li 1.92-2.05, 1 V 2.05
F  0.0897  0.0782  0.2558  2 Li 1.92-2.05, 1 V 2.05
F  0.9171  0.4242  0.7429  2 Li 1.92-2.05, 1 V 2.05
F  0.9171  0.9241  0.7429  2 Li 1.92-2.05, 1 V 2.05